Record 1
The following is a r2SCAN calculation of a relaxed structure of Na3AlSe3, from the Materials Project.

Summary:
Its space group is P2_1/c (14).

Lattice parameters (Å, degrees): 7.4623 7.1953 15.0635 90.00 119.38 90.00
Sites, in units of the cell vectors:
Na 0.0603 0.0273 0.2856
Na 0.0603 0.4727 0.7856
Na 0.2712 0.5036 0.6102
Na 0.2712 0.9964 0.1102
Na 0.3082 0.0041 0.6016
Na 0.3082 0.4959 0.1016
Na 0.6918 0.5041 0.8984
Na 0.6918 0.9959 0.3984
Na 0.7288 0.0036 0.8898
Na 0.7288 0.4964 0.3898
Na 0.9397 0.5273 0.2144
Na 0.9397 0.9727 0.7144
Al 0.3377 0.6411 0.4197
Al 0.3377 0.8589 0.9197
Al 0.6623 0.1411 0.0803
Al 0.6623 0.3589 0.5803
Se 0.0507 0.7442 0.9271
Se 0.0507 0.7558 0.4271
Se 0.3454 0.1980 0.9267
Se 0.3454 0.3020 0.4267
Se 0.3454 0.7412 0.2731
Se 0.3454 0.7588 0.7731
Se 0.6546 0.2412 0.2269
Se 0.6546 0.2588 0.7269
Se 0.6546 0.6980 0.5733
Se 0.6546 0.8020 0.0733
Se 0.9493 0.2442 0.5729
Se 0.9493 0.2558 0.0729



Record 2
The following is a r2SCAN calculation of a relaxed structure of BaIrF6, from the Materials Project.

Summary:
Its space group is R-3 (148).

Lattice parameters (Å, degrees): 4.9503 4.9503 4.9503 98.08 98.08 98.08
Sites, in units of the cell vectors:
Ba 0.0000 0.0000 0.0000
Ir 0.5000 0.5000 0.5000
F 0.1955 0.2376 0.5718
F 0.2376 0.5718 0.1955
F 0.4282 0.8045 0.7624
F 0.5718 0.1955 0.2376
F 0.7624 0.4282 0.8045
F 0.8045 0.7624 0.4282



Record 3
The following is a r2SCAN calculation of a relaxed structure of Gd3Y, from the Materials Project.

Summary:
Its space group is Pm-3m (221).

Lattice parameters (Å, degrees): 5.1799 5.1799 5.1799 90.00 90.00 90.00
Sites, in units of the cell vectors:
Gd 0.0000 0.0000 0.5000
Gd 0.0000 0.5000 0.0000
Gd 0.5000 0.0000 0.0000
Y 0.5000 0.5000 0.5000



Record 4
The following is a r2SCAN calculation of a relaxed structure of DyZn3P3, from the Materials Project.

Summary:
Its space group is P6_3/mmc (194).

Lattice parameters (Å, degrees): 3.9678 3.9678 19.7743 90.00 90.00 120.00
Sites, in units of the cell vectors:
Dy 0.0000 0.0000 0.0000
Dy 0.0000 0.0000 0.5000
Zn 0.3333 0.6667 0.1288
Zn 0.3333 0.6667 0.3712
Zn 0.3333 0.6667 0.7500
Zn 0.6667 0.3333 0.2500
Zn 0.6667 0.3333 0.6288
Zn 0.6667 0.3333 0.8712
P 0.3333 0.6667 0.2500
P 0.3333 0.6667 0.5843
P 0.3333 0.6667 0.9157
P 0.6667 0.3333 0.0843
P 0.6667 0.3333 0.4157
P 0.6667 0.3333 0.7500



Record 5
The following is a r2SCAN calculation of a relaxed structure of LiPr2Ga, from the Materials Project.

Summary:
Its space group is Fm-3m (225).

Lattice parameters (Å, degrees): 5.3026 5.3026 5.3026 60.00 60.00 60.00
Sites, in units of the cell vectors:
Li 0.0000 0.0000 0.0000
Pr 0.2500 0.2500 0.2500
Pr 0.7500 0.7500 0.7500
Ga 0.5000 0.5000 0.5000



Record 6
The following is a r2SCAN calculation of a relaxed structure of Mg3Zn, from the Materials Project.

Summary:
Its space group is Pm-3m (221).

Lattice parameters (Å, degrees): 4.2755 4.2755 4.2755 90.00 90.00 90.00
Sites, in units of the cell vectors:
Mg 0.0000 0.0000 0.5000
Mg 0.0000 0.5000 0.0000
Mg 0.5000 0.0000 0.0000
Zn 0.5000 0.5000 0.5000



Record 7
The following is a r2SCAN calculation of a relaxed structure of ErPt3, from the Materials Project.

Summary:
Its space group is Pm-3m (221).

Lattice parameters (Å, degrees): 4.0734 4.0734 4.0734 90.00 90.00 90.00
Sites, in units of the cell vectors:
Er 0.0000 0.0000 0.0000
Pt 0.0000 0.5000 0.5000
Pt 0.5000 0.0000 0.5000
Pt 0.5000 0.5000 0.0000



Record 8
The following is a r2SCAN calculation of a relaxed structure of AgAu3, from the Materials Project.

Summary:
Its space group is Pm-3m (221).

Lattice parameters (Å, degrees): 4.1216 4.1216 4.1216 90.00 90.00 90.00
Sites, in units of the cell vectors:
Ag 0.0000 0.0000 0.0000
Au 0.0000 0.5000 0.5000
Au 0.5000 0.0000 0.5000
Au 0.5000 0.5000 0.0000



no.,energy of formation (eV per atom)
1,-1.289
2,-2.637
3,0.071
4,-0.732
5,-0.325
6,-0.004
7,-1.144
8,-0.065